No. 1
# W4O9

A geometry-optimized W4O9 structure (PBE with a Hubbard U, the Materials Project).

The structure in extended XYZ format:
```
13
Lattice="6.8544 0.0000 0.0000 0.0000 6.8544 0.0000 0.0000 0.0000 3.8699" Properties=species:S:1:pos:R:3 pbc="T T T"
W 0.8836 4.7768 0.0000
W 2.0777 0.8836 0.0000
W 4.7768 5.9709 0.0000
W 5.9709 2.0777 0.0000
O 0.0000 0.0000 0.0000
O 0.9091 4.7920 1.9349
O 1.0953 2.7040 0.0000
O 2.0624 0.9091 1.9349
O 2.7040 5.7592 0.0000
O 4.1504 1.0953 0.0000
O 4.7920 5.9454 1.9349
O 5.7592 4.1504 0.0000
O 5.9454 2.0624 1.9349
```

Calculated values
Energy (eV per atom): -7.493

=====

No. 2
# V2As3N2O17

A geometry-optimized V2As3N2O17 structure (PBE with a Hubbard U, the Materials Project).

The structure in extended XYZ format:
```
48
Lattice="6.9641 -8.8261 0.0000 6.9641 8.8261 0.0000 -6.4265 0.0000 7.6541" Properties=species:S:1:pos:R:3 pbc="T T T"
V 2.0800 7.1834 5.5437
V 5.4217 7.1834 2.1104
V 2.0800 -7.1834 5.5437
V 5.4217 -7.1834 2.1104
As 1.0111 0.0000 1.3300
As 6.9641 4.9338 0.0000
As -2.2907 0.0000 6.6438
As 9.7924 0.0000 1.0103
As 6.9641 -4.9338 0.0000
As 6.4906 0.0000 6.3242
N 2.9712 3.8856 2.0878
N 4.5305 3.8856 5.5663
N 2.9712 -3.8856 2.0878
N 4.5305 -3.8856 5.5663
O -1.6516 0.0000 2.9215
O -3.0355 1.4699 6.1431
O 2.2222 6.1463 4.3272
O -5.0992 0.0000 7.3166
O 0.4557 1.4312 2.0733
O 5.7208 5.9410 0.6242
O 0.2085 2.9630 5.5545
O 1.7809 5.9410 7.0299
O 5.2795 6.1463 3.3269
O -3.0355 -1.4699 6.1431
O 0.4557 -1.4312 2.0733
O 1.3206 2.5124 5.2815
O 2.8460 0.0000 2.0445
O 3.8765 0.0000 1.2146
O -0.6736 0.0000 6.8816
O 6.1811 2.5124 2.3727
O 7.2932 2.9630 2.0997
O 0.2085 -2.9630 5.5545
O 1.3206 -2.5124 5.2815
O 8.1753 0.0000 0.7726
O 3.6252 0.0000 6.4396
O 4.6557 0.0000 5.6097
O 6.1811 -2.5124 2.3727
O 7.0460 1.4312 5.5808
O 10.5372 1.4699 1.5110
O 2.2222 -6.1463 4.3272
O 5.7208 -5.9410 0.6242
O 7.2932 -2.9630 2.0997
O 1.7809 -5.9410 7.0299
O 7.0460 -1.4312 5.5808
O 12.6009 0.0000 0.3376
O 5.2795 -6.1463 3.3269
O 10.5372 -1.4699 1.5110
O 9.1533 0.0000 4.7326
```

Calculated values
Energy (eV per atom): -5.792